A plane-wave DFT calculation with PBE-GGA was carried out for an optimized crystal structure of Sb2XeF15.

Output
- magnetic moment (μB per formula unit) = 1.001
- energy of formation (meV per atom) = -1982.0
- total energy (eV per atom) = -3.653

a b c (Å): 8.2777 8.2777 10.6449
angles (deg): 73.46 73.46 64.85
With the nearest neighbours (Å) after each atom.
Sites, in units of the cell vectors:
F (0.1563, 0.5626, 0.2416)  1 Sb 1.90
Sb (0.3699, 0.2451, 0.8821)  6 F 1.89-2.08
Sb (0.6301, 0.7549, 0.1179)  6 F 1.89-2.08
F (0.4677, 0.2476, 0.2735)  1 Sb 1.90
Xe (0.1018, 0.8982, 0.7500)  4 F 2.00-2.02
F (0.8113, 0.7059, 0.9614)  1 Sb 1.91
Xe (0.8982, 0.1018, 0.2500)  4 F 2.00-2.02
F (0.2729, 0.7851, 0.5934)  1 Xe 2.02
F (0.3386, 0.5085, 0.4336)  1 Sb 1.89
F (0.6614, 0.4915, 0.5664)  1 Sb 1.89
F (0.7271, 0.2149, 0.4066)  1 Xe 2.02
F (0.7059, 0.8113, 0.4614)  1 Sb 1.91
F (0.5085, 0.3386, 0.9336)  1 Sb 1.89
F (0.0000, 0.5000, 0.5000)  2 Sb 2.08
F (0.1216, 0.2404, 0.3478)  1 Sb 1.92
F (0.5323, 0.7524, 0.7265)  1 Sb 1.90
F (0.8784, 0.7596, 0.6522)  1 Sb 1.92
Sb (0.2451, 0.3699, 0.3821)  6 F 1.89-2.08
F (0.5626, 0.1563, 0.7416)  1 Sb 1.90
Sb (0.7549, 0.6301, 0.6179)  6 F 1.89-2.08
F (0.7524, 0.5323, 0.2265)  1 Sb 1.90
F (0.5000, 0.0000, 0.0000)  2 Sb 2.08
F (0.2476, 0.4677, 0.7735)  1 Sb 1.90
F (0.1887, 0.2941, 0.0386)  1 Sb 1.91
F (0.2941, 0.1887, 0.5386)  1 Sb 1.91
F (0.9610, 0.0902, 0.6161)  1 Xe 2.00
F (0.9098, 0.0390, 0.8839)  1 Xe 2.00
F (0.0390, 0.9098, 0.3839)  1 Xe 2.00
F (0.2404, 0.1216, 0.8478)  1 Sb 1.92
F (0.0902, 0.9610, 0.1161)  1 Xe 2.00
F (0.7851, 0.2729, 0.0934)  1 Xe 2.02
F (0.8437, 0.4374, 0.7584)  1 Sb 1.90
F (0.7596, 0.8784, 0.1522)  1 Sb 1.92
F (0.2149, 0.7271, 0.9066)  1 Xe 2.02
F (0.4915, 0.6614, 0.0664)  1 Sb 1.89
F (0.4374, 0.8437, 0.2584)  1 Sb 1.90

---

A plane-wave DFT calculation with PBE-GGA was carried out for an optimized crystal structure of Na4ZnInP3O12.

Output
- magnetic moment (μB per formula unit) = 0.000
- energy of formation (meV per atom) = -2491.7
- total energy (eV per atom) = -6.143

a b c (Å): 9.1625 9.1625 22.1029
angles (deg): 90.00 90.00 120.00
With the nearest neighbours (Å) after each atom.
Sites, in units of the cell vectors:
In (0.6667, 0.3333, 0.9864)  6 O 2.12-2.20
O (0.9735, 0.1887, 0.3072)  1 P 1.53
Na (0.9923, 0.6287, 0.2484)  6 O 2.47-2.68
O (0.9839, 0.8112, 0.0881)  1 P 1.57
O (0.4422, 0.3003, 0.0267)  1 P 1.56
O (0.5485, 0.8554, 0.4738)  1 P 1.53
P (0.3325, 0.9656, 0.9182)  4 O 1.53-1.57
O (0.4768, 0.3173, 0.7464)  1 P 1.55
O (0.1914, 0.9669, 0.1933)  1 P 1.56
O (0.8580, 0.5578, 0.0267)  1 P 1.56
Na (0.9697, 0.2954, 0.4150)  6 O 2.47-2.68
O (0.9735, 0.7848, 0.8072)  1 P 1.53
O (0.1089, 0.4753, 0.8600)  1 P 1.56
O (0.8555, 0.5060, 0.4214)  1 P 1.57
Na (0.0380, 0.3410, 0.0817)  6 O 2.47-2.68
O (0.3664, 0.4753, 0.3600)  1 P 1.56
Na (0.0000, 0.0000, 0.9964)  6 O 2.49-2.62
Na (0.3257, 0.2954, 0.9150)  6 O 2.47-2.68
O (0.5247, 0.6336, 0.8600)  1 P 1.56
P (0.9992, 0.2990, 0.2515)  4 O 1.53-1.57
O (0.2152, 0.0265, 0.3072)  1 P 1.53
O (0.5221, 0.6828, 0.2548)  1 P 1.57
O (0.4780, 0.1182, 0.6405)  1 P 1.53
P (0.6659, 0.0336, 0.0849)  4 O 1.53-1.57
O (0.5247, 0.8911, 0.3600)  1 P 1.56
O (0.3069, 0.8554, 0.9738)  1 P 1.53
P (0.3677, 0.0336, 0.5849)  4 O 1.53-1.57
P (0.2997, 0.0008, 0.2515)  4 O 1.53-1.57
Na (0.9923, 0.3636, 0.7484)  6 O 2.47-2.68
O (0.5221, 0.8393, 0.7548)  1 P 1.57
O (0.6402, 0.1182, 0.1405)  1 P 1.53
Zn (0.0000, 0.0000, 0.8460)  6 O 2.05-2.23
O (0.6402, 0.5220, 0.6405)  1 P 1.53
P (0.3325, 0.3669, 0.4182)  4 O 1.53-1.57
Zn (0.0000, 0.0000, 0.3460)  6 O 2.05-2.23
O (0.8580, 0.3003, 0.5267)  1 P 1.56
O (0.8406, 0.5232, 0.7464)  1 P 1.55
O (0.1446, 0.4515, 0.9738)  1 P 1.53
Na (0.6667, 0.3333, 0.8298)  6 O 2.49-2.62
O (0.4768, 0.1594, 0.2464)  1 P 1.55
O (0.7755, 0.8086, 0.1933)  1 P 1.56
Na (0.3030, 0.9620, 0.0817)  6 O 2.47-2.68
O (0.4940, 0.3495, 0.4214)  1 P 1.57
O (0.9839, 0.1726, 0.5881)  1 P 1.57
O (0.6827, 0.1594, 0.7464)  1 P 1.55
O (0.1089, 0.6336, 0.3600)  1 P 1.56
P (0.6331, 0.6675, 0.9182)  4 O 1.53-1.57
O (0.8101, 0.8261, 0.9130)  1 P 1.55
O (0.3664, 0.8911, 0.8600)  1 P 1.56
Na (0.0380, 0.6970, 0.5817)  6 O 2.47-2.68
O (0.0160, 0.8261, 0.4130)  1 P 1.55
P (0.9992, 0.7003, 0.7515)  4 O 1.53-1.57
P (0.7010, 0.0008, 0.7515)  4 O 1.53-1.57
P (0.9664, 0.6323, 0.0849)  4 O 1.53-1.57
O (0.1739, 0.9840, 0.9130)  1 P 1.55
O (0.3172, 0.4779, 0.7548)  1 P 1.57
P (0.6659, 0.6323, 0.5849)  4 O 1.53-1.57
O (0.3493, 0.8566, 0.5797)  1 P 1.55
O (0.0331, 0.8086, 0.6933)  1 P 1.56
In (0.3333, 0.6667, 0.3198)  6 O 2.12-2.20
O (0.1446, 0.6931, 0.4738)  1 P 1.53
Na (0.3713, 0.3636, 0.2484)  6 O 2.47-2.68
Na (0.9697, 0.6743, 0.9150)  6 O 2.47-2.68
In (0.3333, 0.6667, 0.8198)  6 O 2.12-2.20
Na (0.3333, 0.6667, 0.1631)  6 O 2.49-2.62
Na (0.6667, 0.3333, 0.3298)  6 O 2.49-2.62
O (0.1914, 0.2245, 0.6933)  1 P 1.56
O (0.4422, 0.1420, 0.5267)  1 P 1.56
O (0.4780, 0.3598, 0.1405)  1 P 1.53
Zn (0.6667, 0.3333, 0.1793)  6 O 2.05-2.23
P (0.6331, 0.9656, 0.4182)  4 O 1.53-1.57
O (0.6505, 0.5060, 0.9214)  1 P 1.57
O (0.3069, 0.4515, 0.4738)  1 P 1.53
P (0.7010, 0.7003, 0.2515)  4 O 1.53-1.57
O (0.0160, 0.1899, 0.9130)  1 P 1.55
O (0.8113, 0.7848, 0.3072)  1 P 1.53
Na (0.3030, 0.3410, 0.5817)  6 O 2.47-2.68
O (0.1434, 0.6507, 0.0797)  1 P 1.55
O (0.7755, 0.9669, 0.6933)  1 P 1.56
O (0.1888, 0.0161, 0.5881)  1 P 1.57
Zn (0.3333, 0.6667, 0.0127)  6 O 2.05-2.23
P (0.0344, 0.3669, 0.9182)  4 O 1.53-1.57
Na (0.6590, 0.6970, 0.0817)  6 O 2.47-2.68
O (0.8818, 0.3598, 0.6405)  1 P 1.53
Na (0.6590, 0.9620, 0.5817)  6 O 2.47-2.68
O (0.3172, 0.8393, 0.2548)  1 P 1.57
Na (0.0000, 0.0000, 0.4964)  6 O 2.49-2.62
O (0.2152, 0.1887, 0.8072)  1 P 1.53
Na (0.3257, 0.0303, 0.4150)  6 O 2.47-2.68
Na (0.6364, 0.0077, 0.2484)  6 O 2.47-2.68
O (0.1739, 0.1899, 0.4130)  1 P 1.55
O (0.6997, 0.1420, 0.0267)  1 P 1.56
O (0.1607, 0.4779, 0.2548)  1 P 1.57
In (0.0000, 0.0000, 0.1531)  6 O 2.12-2.20
P (0.3677, 0.3341, 0.0849)  4 O 1.53-1.57
O (0.5072, 0.6507, 0.5797)  1 P 1.55
Na (0.3333, 0.6667, 0.6631)  6 O 2.49-2.62
O (0.6827, 0.5232, 0.2464)  1 P 1.55
P (0.9664, 0.3341, 0.5849)  4 O 1.53-1.57
Na (0.7046, 0.6743, 0.4150)  6 O 2.47-2.68
In (0.6667, 0.3333, 0.4864)  6 O 2.12-2.20
O (0.1888, 0.1726, 0.0881)  1 P 1.57
O (0.5072, 0.8566, 0.0797)  1 P 1.55
P (0.2997, 0.2990, 0.7515)  4 O 1.53-1.57
O (0.8274, 0.0161, 0.0881)  1 P 1.57
O (0.4940, 0.1445, 0.9214)  1 P 1.57
O (0.1434, 0.4928, 0.5797)  1 P 1.55
O (0.5485, 0.6931, 0.9738)  1 P 1.53
O (0.1607, 0.6828, 0.7548)  1 P 1.57
In (0.0000, 0.0000, 0.6531)  6 O 2.12-2.20
O (0.6505, 0.1445, 0.4214)  1 P 1.57
Na (0.3713, 0.0077, 0.7484)  6 O 2.47-2.68
Zn (0.6667, 0.3333, 0.6793)  6 O 2.05-2.23
O (0.6997, 0.5578, 0.5267)  1 P 1.56
O (0.3493, 0.4928, 0.0797)  1 P 1.55
O (0.0331, 0.2245, 0.1933)  1 P 1.56
Na (0.7046, 0.0303, 0.9150)  6 O 2.47-2.68
O (0.8274, 0.8112, 0.5881)  1 P 1.57
Na (0.6364, 0.6287, 0.7484)  6 O 2.47-2.68
Zn (0.3333, 0.6667, 0.5127)  6 O 2.05-2.23
O (0.8818, 0.5220, 0.1405)  1 P 1.53
P (0.0344, 0.6675, 0.4182)  4 O 1.53-1.57
O (0.8555, 0.3495, 0.9214)  1 P 1.57
O (0.8113, 0.0265, 0.8072)  1 P 1.53
O (0.8101, 0.9840, 0.4130)  1 P 1.55
O (0.8406, 0.3173, 0.2464)  1 P 1.55

---

A plane-wave DFT calculation with PBE-GGA was carried out for an optimized crystal structure of PrTeCl.

Output
- energy of formation (meV per atom) = -2040.6
- total energy (eV per atom) = -5.093

a b c (Å): 4.5105 4.5105 8.2936
angles (deg): 90.00 90.00 90.00
With the nearest neighbours (Å) after each atom.
Sites, in units of the cell vectors:
Cl (0.5000, 0.5000, 0.0000)  4 Pr 3.01, 4 Cl 3.19
Te (0.5000, 0.0000, 0.6350)  5 Pr 3.28-3.35
Pr (0.0000, 0.5000, 0.7600)  4 Cl 3.01, 5 Te 3.28-3.35
Te (0.0000, 0.5000, 0.3650)  5 Pr 3.28-3.35
Cl (0.0000, 0.0000, 0.0000)  4 Pr 3.01, 4 Cl 3.19
Pr (0.5000, 0.0000, 0.2400)  4 Cl 3.01, 5 Te 3.28-3.35

---

A plane-wave DFT calculation with PBE-GGA was carried out for an optimized crystal structure of Rb2YAuCl6.

Output
- magnetic moment (μB per formula unit) = 0.000
- energy of formation (meV per atom) = -2037.7
- total energy (eV per atom) = -3.949

a b c (Å): 7.6303 7.6303 7.6303
angles (deg): 60.00 60.00 60.00
With the nearest neighbours (Å) after each atom.
Sites, in units of the cell vectors:
Rb (0.7500, 0.7500, 0.7500)  12 Cl 3.82
Y (0.0000, 0.0000, 0.0000)  6 Cl 2.64
Rb (0.2500, 0.2500, 0.2500)  12 Cl 3.82
Cl (0.7553, 0.2447, 0.7553)  1 Y 2.64, 1 Au 2.75
Cl (0.7553, 0.2447, 0.2447)  1 Y 2.64, 1 Au 2.75
Cl (0.2447, 0.2447, 0.7553)  1 Y 2.64, 1 Au 2.75
Cl (0.2447, 0.7553, 0.2447)  1 Y 2.64, 1 Au 2.75
Cl (0.2447, 0.7553, 0.7553)  1 Y 2.64, 1 Au 2.75
Au (0.5000, 0.5000, 0.5000)  6 Cl 2.75
Cl (0.7553, 0.7553, 0.2447)  1 Y 2.64, 1 Au 2.75

---

A plane-wave DFT calculation with PBE-GGA was carried out for an optimized crystal structure of Hf5NiSb3.

Output
- energy of formation (meV per atom) = -589.3
- total energy (eV per atom) = -8.076

a b c (Å): 8.5762 8.5762 5.7306
angles (deg): 90.00 90.00 120.00
With the nearest neighbours (Å) after each atom.
Sites, in units of the cell vectors:
Hf (0.6667, 0.3333, 0.5000)  2 Hf 2.87, 6 Sb 3.02
Sb (0.3875, 0.3875, 0.2500)  9 Hf 2.93-3.08
Hf (0.3333, 0.6667, 0.5000)  2 Hf 2.87, 6 Sb 3.02
Sb (0.0000, 0.3875, 0.7500)  9 Hf 2.93-3.08
Hf (0.7428, 0.7428, 0.2500)  2 Ni 2.63, 2 Sb 2.93
Ni (0.0000, 0.0000, 0.5000)  6 Hf 2.63, 2 Ni 2.87
Sb (0.3875, 0.0000, 0.7500)  9 Hf 2.93-3.08
Hf (0.0000, 0.2572, 0.2500)  2 Ni 2.63, 2 Sb 2.93
Hf (0.3333, 0.6667, 0.0000)  2 Hf 2.87, 6 Sb 3.02
Sb (0.6125, 0.0000, 0.2500)  9 Hf 2.93-3.08
Hf (0.2572, 0.0000, 0.2500)  2 Ni 2.63, 2 Sb 2.93
Sb (0.0000, 0.6125, 0.2500)  9 Hf 2.93-3.08
Ni (0.0000, 0.0000, 0.0000)  6 Hf 2.63, 2 Ni 2.87
Sb (0.6125, 0.6125, 0.7500)  9 Hf 2.93-3.08
Hf (0.2572, 0.2572, 0.7500)  2 Ni 2.63, 2 Sb 2.93
Hf (0.6667, 0.3333, 0.0000)  2 Hf 2.87, 6 Sb 3.02
Hf (0.7428, 0.0000, 0.7500)  2 Ni 2.63, 2 Sb 2.93
Hf (0.0000, 0.7428, 0.7500)  2 Ni 2.63, 2 Sb 2.93

---

A plane-wave DFT calculation with PBE-GGA was carried out for an optimized crystal structure of BaNaPO4.

Output
- distance to the lowest polymorph of the same formula (eV per atom) = 0.027
- magnetic moment (μB per formula unit) = 0.001
- energy of formation (meV per atom) = -2980.2
- total energy (eV per atom) = -6.651

a b c (Å): 5.5343 7.7270 10.2610
angles (deg): 90.00 90.00 90.00
With the nearest neighbours (Å) after each atom.
Sites, in units of the cell vectors:
Ba (0.2500, 0.4921, 0.3040)  9 O 2.70-3.01
O (0.2500, 0.8000, 0.4314)  1 P 1.57
O (0.7500, 0.4645, 0.4179)  1 P 1.56
Na (0.7500, 0.3317, 0.0527)  4 O 2.51-2.78
O (0.4815, 0.8079, 0.6437)  1 P 1.55
Ba (0.7500, 0.0079, 0.8040)  9 O 2.70-3.01
P (0.7500, 0.7629, 0.0767)  4 O 1.55-1.57
P (0.7500, 0.2629, 0.4233)  4 O 1.55-1.57
Na (0.7500, 0.8317, 0.4473)  4 O 2.51-2.78
Ba (0.2500, 0.9921, 0.1960)  9 O 2.70-3.01
O (0.0185, 0.3079, 0.8563)  1 P 1.55
O (0.5185, 0.6921, 0.1437)  1 P 1.55
Na (0.2500, 0.6683, 0.9473)  4 O 2.51-2.78
O (0.9815, 0.6921, 0.1437)  1 P 1.55
O (0.2500, 0.5355, 0.5821)  1 P 1.56
O (0.0185, 0.8079, 0.6437)  1 P 1.55
O (0.2500, 0.0355, 0.9179)  1 P 1.56
Ba (0.7500, 0.5079, 0.6960)  9 O 2.70-3.01
O (0.5185, 0.1921, 0.3563)  1 P 1.55
P (0.2500, 0.7371, 0.5767)  4 O 1.55-1.57
Na (0.2500, 0.1683, 0.5527)  4 O 2.51-2.78
O (0.7500, 0.9645, 0.0821)  1 P 1.56
O (0.9815, 0.1921, 0.3563)  1 P 1.55
O (0.4815, 0.3079, 0.8563)  1 P 1.55
O (0.2500, 0.3000, 0.0686)  1 P 1.57
O (0.7500, 0.2000, 0.5686)  1 P 1.57
O (0.7500, 0.7000, 0.9314)  1 P 1.57
P (0.2500, 0.2371, 0.9233)  4 O 1.55-1.57